! PBE-GGA NdAu3, relaxed; values from VASP
&SYSTEM
  ibrav = 0, nat = 8, ntyp = 2
/
ATOMIC_SPECIES
Nd 144.24 Nd.upf
Au 196.97 Au.upf
CELL_PARAMETERS angstrom
6.500 0.000 0.000
-3.250 5.629 0.000
0.000 0.000 4.861
ATOMIC_POSITIONS crystal
Nd 0.333 0.667 0.250
Nd 0.667 0.333 0.750
Au 0.156 0.312 0.750
Au 0.156 0.844 0.750
Au 0.312 0.156 0.250
Au 0.688 0.844 0.750
Au 0.844 0.156 0.250
Au 0.844 0.688 0.250
! Energy (eV per atom): -4.2977

=====

! PBE-GGA Nd3Au4, relaxed; values from VASP
&SYSTEM
  ibrav = 0, nat = 14, ntyp = 2
/
ATOMIC_SPECIES
Nd 144.24 Nd.upf
Au 196.97 Au.upf
CELL_PARAMETERS angstrom
6.978 4.028 2.069
-6.978 4.028 2.069
0.000 -8.057 2.069
ATOMIC_POSITIONS crystal
Nd 0.015 0.271 0.399
Nd 0.271 0.399 0.015
Nd 0.399 0.015 0.271
Nd 0.601 0.985 0.729
Nd 0.729 0.601 0.985
Nd 0.985 0.729 0.601
Au 0.000 0.000 0.000
Au 0.071 0.562 0.233
Au 0.233 0.071 0.562
Au 0.438 0.767 0.929
Au 0.500 0.500 0.500
Au 0.562 0.233 0.071
Au 0.767 0.929 0.438
Au 0.929 0.438 0.767
! Energy (eV per atom): -4.7230

=====

! PBE-GGA NdAu3, relaxed; values from VASP
&SYSTEM
  ibrav = 0, nat = 4, ntyp = 2
/
ATOMIC_SPECIES
Nd 144.24 Nd.upf
Au 196.97 Au.upf
CELL_PARAMETERS angstrom
0.000 3.533 3.533
3.533 0.000 3.533
3.533 3.533 0.000
ATOMIC_POSITIONS crystal
Nd 0.000 0.000 0.000
Au 0.250 0.250 0.250
Au 0.500 0.500 0.500
Au 0.750 0.750 0.750
! Energy (eV per atom): -4.2831

=====

Q: Which formula does entry 2 have?
A: Nd3Au4

=====

Q: Among the records above, which one has the lowest energy?
A: Nd3Au4

=====

Q: energy of number 2 (Nd3Au4)?
A: -4.7230 eV per atom

=====

Q: Which of these has the lowest energy?
A: Nd3Au4